Mg14VCdO16, optimized geometry, DFT PBE+U; ΔE to the lowest computed polymorph = 4.2 meV per atom; formation energy from the elements = -274.99 kJ/mol of atoms
1.0
-2.5729 -8.0036 1.8757
3.8324 -2.9202 -7.2037
3.6545 -0.6568 2.2105
Mg V Cd O
14 1 1 16
Cartesian
-1.2864 -4.0018 0.9379
0.6297 -5.4619 -2.6640
2.7698 -1.0466 -0.6665
4.7171 -2.5304 -4.3267
1.4965 -5.0584 0.2468
3.4176 -6.5222 -3.3642
1.1812 -2.3380 1.5762
3.0869 -3.8309 -2.0179
-0.0996 -6.3223 2.5100
1.8271 -7.7497 -1.0995
0.3006 -2.7473 -1.3133
2.2313 -4.2184 -4.9423
-0.9718 -6.7054 -0.3856
0.9589 -8.1765 -4.0147
0.0000 0.0000 0.0000
1.9162 -1.4601 -3.6018
-0.6586 -2.0488 0.4802
1.2314 -3.5904 -3.1026
-1.9142 -5.9548 1.3956
0.0281 -7.3334 -2.2254
2.1448 -3.0528 -0.2293
4.0601 -4.5122 -3.8293
0.8540 -7.0683 0.7118
2.7692 -8.5277 -2.8882
1.8273 -0.3284 1.1052
3.7435 -1.7885 -2.4966
0.5408 -4.3302 2.0431
2.4570 -5.7903 -1.5587
0.9248 -0.7047 -1.7383
2.9076 -2.2155 -5.4653
-0.3385 -4.7241 -0.8440
1.5980 -6.1997 -4.4839